{"formula": "HfSe3", "functional": "r²SCAN", "state": "optimized geometry", "lattice": [[3.735, 0.000, 0.000], [0.000, 5.454, -0.015], [0.000, 1.278, 9.551]], "species": ["Se", "Se", "Hf", "Se", "Se", "Hf", "Se", "Se"], "frac_coords": [[0.250, 0.238, 0.552], [0.750, 0.762, 0.448], [0.250, 0.715, 0.653], [0.250, 0.109, 0.178], [0.750, 0.891, 0.822], [0.750, 0.285, 0.347], [0.750, 0.460, 0.821], [0.250, 0.540, 0.179]], "volume_a3_per_atom": 24.33, "e_form_mev_per_atom": -1169.6, "dft_energy_ev_per_atom": -23.191}